1.
CdPd3 | PBE-GGA | relaxed

formation energy	-0.27	eV per atom
crystal system	tetragonal

```
4
Lattice="-2.0280 2.0280 4.0225 2.0280 -2.0280 4.0225 2.0280 2.0280 -4.0225" Properties=species:S:1:pos:R:3 pbc="T T T"
Cd 0.0000 0.0000 0.0000
Pd 2.0280 0.0000 2.0112
Pd 0.0000 0.0000 4.0225
Pd 0.0000 2.0280 2.0112
```



2.
Na7Hf3NbSi6O24 | PBE-GGA | relaxed

formation energy	-3.15	eV per atom
crystal system	triclinic

```
123
Lattice="9.1699 0.0000 0.0000 -4.5818 7.9477 0.0000 -0.0141 -0.0314 22.7404" Properties=species:S:1:pos:R:3 pbc="T T T"
Na 0.0000 0.0000 0.0000
Na -2.9143 5.0552 11.3724
Na 1.2212 2.1444 11.3716
Na -0.4312 5.0557 22.7313
Na -0.0078 4.7680 15.1731
Na -1.6641 7.6378 20.8110
Na -1.6827 7.7043 9.4956
Na 0.0024 5.2943 7.5792
Na 1.6853 2.4265 18.9568
Na 4.1489 2.4298 7.5774
Na 2.8698 5.0101 5.6170
Na 4.5444 2.1387 22.7310
Na 5.8038 0.0148 11.3726
Na 2.9288 5.1036 17.1424
Na 4.5852 2.6671 15.1837
Na 1.7049 7.7303 3.7478
Na 5.7903 4.7860 3.7503
Na 4.1177 7.7091 15.1809
Na 4.5591 7.4498 7.5802
Na 7.4848 2.4022 13.2765
Na 7.5598 2.4200 1.9197
Hf -1.6862 7.7014 12.8410
Hf -1.6858 7.7256 1.4531
Hf 2.8805 5.0320 2.3320
Hf 2.9038 5.0584 9.0472
Hf 2.8983 5.0493 13.7127
Hf 2.9136 5.0804 20.3688
Hf 7.4709 2.3928 16.6461
Hf 7.4865 2.4071 9.8827
Hf 7.5278 2.4168 5.2226
Nb -1.6700 7.6626 17.5563
Nb -1.6803 7.7209 6.0762
Nb 7.4662 2.3934 21.2311
Si -4.3703 7.7243 3.7574
Si -3.0169 5.3866 15.1580
Si 1.0082 2.4048 7.5786
Si -0.3526 4.7283 18.9260
Si 1.5605 2.0601 15.1703
Si -0.3333 5.3802 3.7631
Si 0.2085 5.0528 11.3640
Si 1.5468 2.7234 22.6936
Si 0.9808 7.7020 15.1551
Si 4.2341 2.1063 3.7717
Si 4.2463 2.7217 11.3644
Si 1.5656 7.3567 22.7383
Si 6.1362 0.0812 7.5580
Si 4.7882 2.3968 18.9155
Si 5.5703 5.0297 22.7392
Si 4.2436 7.3884 11.3673
Si 8.8120 0.0490 18.9118
Si 6.1482 4.7430 7.5548
O 8.5274 1.0633 20.2274
O -2.3022 4.0827 8.8753
O -3.3496 7.5080 5.0807
O -2.7034 6.4100 16.4196
O -3.2952 7.5293 11.4728
O -2.6027 6.3731 0.1118
O -3.4319 7.9264 2.4509
O -2.3284 6.0485 13.8251
O -1.0987 3.9554 3.9281
O -0.0682 2.2171 15.2747
O -1.0414 3.9590 20.2485
O -2.3244 6.2436 7.4045
O 0.0963 2.0987 8.9089
O 1.2998 0.0287 18.7993
O -0.1072 2.5628 22.5560
O -0.7271 3.7096 11.2372
O 0.0155 2.6845 6.3267
O -0.6101 3.7885 17.6148
O 1.7980 1.1289 13.8404
O -1.0263 6.0854 2.4670
O -1.0750 6.2011 18.7916
O 1.9542 1.0507 7.4079
O 2.2141 1.2537 0.1140
O -0.7293 6.3941 11.4716
O -0.6651 6.3705 5.0903
O 2.2665 1.3164 16.4648
O 1.1603 4.7879 12.6747
O 1.7799 3.7498 1.2421
O 1.2554 4.7957 19.0912
O 1.9734 3.7225 7.6950
O 2.2470 3.3735 21.3860
O 1.1521 5.3144 10.0455
O -0.0646 7.4689 16.4157
O 3.5528 1.2386 11.4720
O -0.0477 7.5815 0.1215
O 3.5768 1.3123 5.0978
O 2.2743 3.5366 15.0585
O 1.2936 5.3581 3.7058
O -0.0943 7.8815 7.4135
O 3.8407 1.0385 18.7961
O 3.9980 1.1469 2.4788
O 4.6486 0.0199 13.8217
O 1.8056 6.3631 21.4881
O 3.5510 3.4112 10.0462
O 1.8966 6.3452 15.0642
O 3.5873 3.5966 3.7114
O 3.7900 3.6609 19.0734
O 2.2153 6.5346 7.6907
O 3.9985 3.6781 12.6754
O 2.3005 6.7590 1.3423
O 6.3454 1.0323 8.8787
O 5.7928 2.1795 20.2385
O 5.8612 2.2104 3.9351
O 6.5072 1.0848 15.2769
O 5.7170 2.5989 17.5963
O 6.8368 0.7721 6.2627
O 4.5236 4.9161 7.6917
O 3.5739 6.5398 19.0683
O 5.8778 2.5856 11.2366
O 6.8405 0.9158 22.5518
O 4.6760 4.7569 1.3397
O 3.5391 6.6905 12.6754
O 3.9149 6.3436 3.7093
O 4.5199 5.2716 15.0634
O 4.5880 5.3052 21.4892
O 4.0008 6.4434 10.0463
O 6.3835 3.7883 6.2583
O 8.1961 0.7769 17.5894
O 8.1281 0.9213 11.2391
O 6.5281 3.6745 22.5635
O 8.3975 1.0620 3.9092
O 6.8354 3.9045 15.2850
```



3.
NbO2 | PBE-GGA | relaxed

formation energy	-2.59	eV per atom
crystal system	tetragonal

```
48
Lattice="-7.8766 7.8766 3.3698 7.8766 -7.8766 3.3698 7.8766 7.8766 -3.3698" Properties=species:S:1:pos:R:3 pbc="T T T"
Nb 12.2547 2.8343 -0.7012
Nb 3.6687 1.9055 0.2487
Nb 8.9806 0.4398 0.9837
Nb 3.4985 5.0423 -0.7012
Nb 5.8438 8.1463 -1.9336
Nb 5.8438 0.2696 1.9336
Nb 1.1040 0.4398 2.3861
Nb 4.2080 -1.9055 3.6186
Nb 3.6686 9.7821 -0.2487
Nb 6.7726 7.4368 0.9837
Nb 2.0328 7.6070 1.4362
Nb 2.0328 -0.2697 5.3035
Nb 4.3781 2.8343 4.0710
Nb -1.1040 7.4368 2.3861
Nb 4.2079 5.9711 3.1211
Nb -4.3781 5.0423 4.0710
O 9.7724 5.4091 -2.0978
O 5.3832 0.8038 -0.0223
O 2.3033 0.4683 0.5009
O 4.7421 -1.4449 1.6627
O 9.7724 -2.4675 2.0978
O 4.7421 6.4317 -1.6627
O 9.3474 2.0425 0.4129
O -0.3356 0.8938 1.0373
O 12.2832 1.6350 1.1841
O 3.0445 3.6027 0.6476
O 4.8321 -3.6027 4.0175
O 7.5410 0.8938 2.3325
O 4.4066 1.6350 2.1858
O 6.4058 5.8341 0.4129
O 2.4934 -0.8038 3.3476
O 2.3033 8.3449 -0.5009
O 5.5733 -0.4683 3.8707
O 5.3832 8.6804 0.0223
O 1.4708 2.0425 2.9570
O 3.4700 6.2416 1.1840
O 0.3356 6.9828 1.0373
O 3.0445 11.4793 -0.6476
O 4.8321 4.2739 2.7222
O -4.4066 6.2416 2.1858
O 8.2122 6.9828 2.3325
O -1.4708 5.8341 2.9570
O 3.1345 1.4449 5.0325
O -1.8958 10.3441 1.2720
O 3.1345 9.3215 1.7072
O 5.5733 7.4083 2.8690
O 2.4934 7.0728 3.3921
O -1.8958 2.4675 5.4676
```



4.
Sc2Al9Co3 | PBE-GGA | relaxed

formation energy	-0.57	eV per atom
crystal system	orthorhombic

```
28
Lattice="6.2887 -3.6870 0.0000 6.2887 3.6870 0.0000 0.0000 0.0000 9.0898" Properties=species:S:1:pos:R:3 pbc="T T T"
Sc 4.3015 2.4791 6.8173
Sc 8.2759 2.4791 6.8173
Sc 4.3015 -2.4791 2.2724
Sc 8.2759 -2.4791 2.2724
Al 2.1467 1.2253 5.2194
Al 2.1467 1.2253 8.4153
Al 6.2887 2.7755 2.2724
Al 6.2887 1.2546 4.9741
Al 6.2887 1.2546 8.6605
Al 2.1467 -1.2253 0.6745
Al 2.1467 -1.2253 3.8704
Al 4.8777 0.3438 2.2724
Al 4.8777 -0.3438 6.8173
Al 7.6997 0.3438 2.2724
Al 7.6997 -0.3438 6.8173
Al 10.4307 1.2253 5.2194
Al 10.4307 1.2253 8.4153
Al 6.2887 -1.2546 0.4292
Al 6.2887 -1.2546 4.1156
Al 6.2887 -2.7755 6.8173
Al 10.4307 -1.2253 0.6745
Al 10.4307 -1.2253 3.8704
Co 0.0000 0.0000 0.0000
Co 0.0000 0.0000 4.5449
Co 4.1310 0.0000 0.0000
Co 4.1310 0.0000 4.5449
Co 8.4464 0.0000 0.0000
Co 8.4464 0.0000 4.5449
```



5.
CuH9C4NO6 | PBE-GGA | relaxed

polymorph energy (0 for the lowest one)	23.40	kJ/mol of atoms
formation energy	-0.35	eV per atom
crystal system	orthorhombic

```
84
Lattice="9.6233 0.0000 0.0000 0.0000 14.7236 0.0000 0.0000 0.0000 7.3991" Properties=species:S:1:pos:R:3 pbc="T T T"
Cu 0.0000 0.0000 0.0000
Cu 0.0000 7.3618 0.0000
Cu 4.8116 0.0000 3.6995
Cu 4.8116 7.3618 3.6995
H 0.6622 3.6809 1.1074
H 1.0309 11.0427 5.9504
H 1.5637 1.7713 3.1089
H 1.5637 5.5906 3.1089
H 1.5718 9.7250 3.6202
H 1.5718 12.3605 3.6202
H 1.6151 11.0427 0.7960
H 2.3817 0.7219 5.6591
H 2.3817 6.6400 5.6591
H 2.4300 8.0837 1.9596
H 2.4300 14.0018 1.9596
H 3.1965 3.6809 4.4956
H 3.2398 2.3631 7.3197
H 3.2398 4.9987 7.3197
H 3.2479 9.1331 6.8084
H 3.2479 12.9524 6.8084
H 3.7807 3.6809 2.2509
H 4.1494 11.0427 4.8070
H 5.4738 3.6809 2.5921
H 5.8425 11.0427 5.1482
H 6.3754 1.7713 0.5906
H 6.3754 5.5906 0.5906
H 6.3835 9.7250 0.0794
H 6.3835 12.3605 0.0794
H 6.4267 11.0427 2.9035
H 7.1933 0.7219 5.4395
H 7.1933 6.6400 5.4395
H 7.2416 8.0837 1.7400
H 7.2416 14.0018 1.7400
H 8.0082 3.6809 6.6031
H 8.0514 2.3631 3.7789
H 8.0514 4.9987 3.7789
H 8.0595 9.1331 4.2902
H 8.0595 12.9524 4.2902
H 8.5924 3.6809 1.4486
H 8.9610 11.0427 6.2916
C 0.5346 11.0427 0.5551
C 0.7202 3.6809 5.2453
C 1.5204 0.9423 2.3904
C 1.5204 6.4196 2.3904
C 3.2912 8.3041 6.0899
C 3.2912 13.7814 6.0899
C 4.0915 11.0427 1.5458
C 4.2770 3.6809 4.2546
C 5.3462 11.0427 3.1445
C 5.5318 3.6809 5.8533
C 6.3321 0.9423 1.3091
C 6.3321 6.4196 1.3091
C 8.1028 8.3041 5.0087
C 8.1028 13.7814 5.0087
C 8.9031 11.0427 2.1538
C 9.0887 3.6809 6.8440
N 0.2894 11.0427 6.6377
N 4.5222 3.6809 2.9382
N 5.1010 11.0427 4.4609
N 9.3339 3.6809 0.7613
O 0.1968 2.6645 6.0012
O 0.1968 4.6974 6.0012
O 0.6200 0.8618 1.5140
O 0.6200 6.5000 1.5140
O 2.3010 7.3906 6.2851
O 2.3010 14.6949 6.2851
O 2.5106 0.0288 2.5856
O 2.5106 7.3330 2.5856
O 4.1916 8.2237 5.2136
O 4.1916 13.8618 5.2136
O 4.6148 10.0263 2.3016
O 4.6148 12.0592 2.3016
O 5.0084 2.6645 5.0974
O 5.0084 4.6974 5.0974
O 5.4317 0.8618 2.1855
O 5.4317 6.5000 2.1855
O 7.1126 7.3906 4.8135
O 7.1126 14.6949 4.8135
O 7.3222 0.0288 1.1140
O 7.3222 7.3330 1.1140
O 9.0032 8.2237 5.8851
O 9.0032 13.8618 5.8851
O 9.4264 10.0263 1.3979
O 9.4264 12.0592 1.3979
```



6.
Mg2NiH4 | PBE-GGA | relaxed

polymorph energy (0 for the lowest one)	3.66	kJ/mol of atoms
formation energy	-0.30	eV per atom
crystal system	orthorhombic

```
7
Lattice="-2.2626 3.1646 2.2918 2.2626 -3.1646 2.2918 2.2626 3.1646 -2.2918" Properties=species:S:1:pos:R:3 pbc="T T T"
Mg 0.0000 1.5845 0.0000
Mg 0.0000 4.7447 0.0000
Ni 0.0000 0.0000 2.4254
H 2.2626 1.6959 -0.2782
H 0.0000 1.4687 2.0136
H -1.0795 3.1646 1.1348
H 1.0795 3.1646 1.1348
```



7.
Zr6CoTe2 | PBE-GGA | relaxed

formation energy	-0.67	eV per atom
crystal system	hexagonal

```
9
Lattice="7.7718 0.0000 0.0000 -3.8859 6.7306 0.0000 0.0000 0.0000 3.6594" Properties=species:S:1:pos:R:3 pbc="T T T"
Zr -0.9227 1.5982 0.0000
Zr -2.3094 4.0000 1.8297
Zr 1.8455 0.0000 0.0000
Zr 1.5765 2.7306 1.8297
Zr 4.6188 0.0000 1.8297
Zr 2.9632 5.1323 0.0000
Co 0.0000 0.0000 1.8297
Te 0.0000 4.4870 0.0000
Te 3.8859 2.2435 0.0000
```



8.
Pm2SiAg | PBE-GGA | relaxed

formation energy	-0.43	eV per atom
crystal system	cubic

```
4
Lattice="0.0000 3.6656 3.6656 3.6656 0.0000 3.6656 3.6656 3.6656 0.0000" Properties=species:S:1:pos:R:3 pbc="T T T"
Pm 1.8328 1.8328 1.8328
Pm 5.4984 5.4984 5.4984
Si 0.0000 0.0000 0.0000
Ag 3.6656 3.6656 3.6656
```



Repeat the third record exactly.
NbO2 | PBE-GGA | relaxed

formation energy	-2.59	eV per atom
crystal system	tetragonal

```
48
Lattice="-7.8766 7.8766 3.3698 7.8766 -7.8766 3.3698 7.8766 7.8766 -3.3698" Properties=species:S:1:pos:R:3 pbc="T T T"
Nb 12.2547 2.8343 -0.7012
Nb 3.6687 1.9055 0.2487
Nb 8.9806 0.4398 0.9837
Nb 3.4985 5.0423 -0.7012
Nb 5.8438 8.1463 -1.9336
Nb 5.8438 0.2696 1.9336
Nb 1.1040 0.4398 2.3861
Nb 4.2080 -1.9055 3.6186
Nb 3.6686 9.7821 -0.2487
Nb 6.7726 7.4368 0.9837
Nb 2.0328 7.6070 1.4362
Nb 2.0328 -0.2697 5.3035
Nb 4.3781 2.8343 4.0710
Nb -1.1040 7.4368 2.3861
Nb 4.2079 5.9711 3.1211
Nb -4.3781 5.0423 4.0710
O 9.7724 5.4091 -2.0978
O 5.3832 0.8038 -0.0223
O 2.3033 0.4683 0.5009
O 4.7421 -1.4449 1.6627
O 9.7724 -2.4675 2.0978
O 4.7421 6.4317 -1.6627
O 9.3474 2.0425 0.4129
O -0.3356 0.8938 1.0373
O 12.2832 1.6350 1.1841
O 3.0445 3.6027 0.6476
O 4.8321 -3.6027 4.0175
O 7.5410 0.8938 2.3325
O 4.4066 1.6350 2.1858
O 6.4058 5.8341 0.4129
O 2.4934 -0.8038 3.3476
O 2.3033 8.3449 -0.5009
O 5.5733 -0.4683 3.8707
O 5.3832 8.6804 0.0223
O 1.4708 2.0425 2.9570
O 3.4700 6.2416 1.1840
O 0.3356 6.9828 1.0373
O 3.0445 11.4793 -0.6476
O 4.8321 4.2739 2.7222
O -4.4066 6.2416 2.1858
O 8.2122 6.9828 2.3325
O -1.4708 5.8341 2.9570
O 3.1345 1.4449 5.0325
O -1.8958 10.3441 1.2720
O 3.1345 9.3215 1.7072
O 5.5733 7.4083 2.8690
O 2.4934 7.0728 3.3921
O -1.8958 2.4675 5.4676
```



Among the records above, which one has the lowest formation energy? Na7Hf3NbSi6O24